Record 1
Entry from the Materials Project: a relaxed structure of Pm2GaSn (r2SCAN).

**Spin magnetization**: 0.0 μB/cell
**Electronic total energy**: -391.10 eV/cell

```
data_Pm2GaSn
_chemical_formula_sum 'Pm8 Ga4 Sn4'
_space_group_name_H-M_alt 'F m -3 m'
_space_group_IT_number 225
_space_group_name_Hall '-F 4 2 3'
_cell_length_a 7.539
_cell_length_b 7.539
_cell_length_c 7.539
_cell_angle_alpha 90.00
_cell_angle_beta 90.00
_cell_angle_gamma 90.00
loop_
_atom_site_label
_atom_site_type_symbol
_atom_site_fract_x
_atom_site_fract_y
_atom_site_fract_z
Pm1 Pm 0.250 0.250 0.250
Ga1 Ga 0.000 0.000 0.000
Sn1 Sn 0.000 0.000 0.500
```

***

Record 2
Entry from the Materials Project: a relaxed structure of Pr3Ga (r2SCAN).

**Spin magnetization**: 0.0 μB/cell
**Electronic total energy**: -100.72 eV/cell

```
data_Pr3Ga
_chemical_formula_sum 'Pr3 Ga1'
_space_group_name_H-M_alt 'P m -3 m'
_space_group_IT_number 221
_space_group_name_Hall '-P 4 2 3'
_cell_length_a 4.882
_cell_length_b 4.882
_cell_length_c 4.882
_cell_angle_alpha 90.00
_cell_angle_beta 90.00
_cell_angle_gamma 90.00
loop_
_atom_site_label
_atom_site_type_symbol
_atom_site_fract_x
_atom_site_fract_y
_atom_site_fract_z
Pr1 Pr 0.000 0.000 0.500
Ga1 Ga 0.500 0.500 0.500
```

***

Record 3
Entry from the Materials Project: a relaxed structure of Pr5Ga3 (r2SCAN).

**Spin magnetization**: 0.0 μB/cell
**Electronic total energy**: -742.20 eV/cell

```
data_Pr5Ga3
_chemical_formula_sum 'Pr20 Ga12'
_space_group_name_H-M_alt 'P 4/n c c'
_space_group_IT_number 130
_cell_length_a 7.935
_cell_length_b 7.935
_cell_length_c 14.711
_cell_angle_alpha 90.00
_cell_angle_beta 90.00
_cell_angle_gamma 90.00
loop_
_space_group_symop_operation_xyz
'x,y,z'
'-x,-y,-z'
'-y+1/2,x,z'
'y+1/2,-x,-z'
'-x+1/2,-y+1/2,z'
'x+1/2,y+1/2,-z'
'y,-x+1/2,z'
'-y,x+1/2,-z'
'x+1/2,-y,-z+1/2'
'-x+1/2,y,z+1/2'
'-y,-x,-z+1/2'
'y,x,z+1/2'
'-x,y+1/2,-z+1/2'
'x,-y+1/2,z+1/2'
'y+1/2,x+1/2,-z+1/2'
'-y+1/2,-x+1/2,z+1/2'
loop_
_atom_site_label
_atom_site_type_symbol
_atom_site_fract_x
_atom_site_fract_y
_atom_site_fract_z
Pr1 Pr 0.063 0.590 0.104
Pr2 Pr 0.250 0.250 0.217
Ga1 Ga 0.133 0.633 0.750
Ga2 Ga 0.250 0.250 0.006
```

***

Record 4
Entry from the Materials Project: a relaxed structure of Pr2Ga (r2SCAN).

**Spin magnetization**: 0.0 μB/cell
**Electronic total energy**: -286.37 eV/cell

```
data_Pr2Ga
_chemical_formula_sum 'Pr8 Ga4'
_space_group_name_H-M_alt 'P n m a'
_space_group_IT_number 62
_cell_length_a 6.785
_cell_length_b 5.245
_cell_length_c 9.712
_cell_angle_alpha 90.00
_cell_angle_beta 90.00
_cell_angle_gamma 90.00
loop_
_space_group_symop_operation_xyz
'x,y,z'
'-x,-y,-z'
'-x+1/2,-y,z+1/2'
'x+1/2,y,-z+1/2'
'x+1/2,-y+1/2,-z+1/2'
'-x+1/2,y+1/2,z+1/2'
'-x,y+1/2,-z'
'x,-y+1/2,z'
loop_
_atom_site_label
_atom_site_type_symbol
_atom_site_fract_x
_atom_site_fract_y
_atom_site_fract_z
Pr1 Pr 0.000 0.250 0.192
Pr2 Pr 0.193 0.250 0.585
Ga1 Ga 0.221 0.250 0.906
```

***

Record 5
Entry from the Materials Project: a relaxed structure of PrGa (r2SCAN).

**Spin magnetization**: 0.0 μB/cell
**Electronic total energy**: -168.77 eV/cell

```
data_PrGa
_chemical_formula_sum 'Pr4 Ga4'
_space_group_name_H-M_alt 'C m c m'
_space_group_IT_number 63
_space_group_name_Hall '-C 2c 2'
_cell_length_a 4.523
_cell_length_b 11.339
_cell_length_c 4.203
_cell_angle_alpha 90.00
_cell_angle_beta 90.00
_cell_angle_gamma 90.00
loop_
_atom_site_label
_atom_site_type_symbol
_atom_site_fract_x
_atom_site_fract_y
_atom_site_fract_z
Pr1 Pr 0.000 0.139 0.250
Ga1 Ga 0.000 0.431 0.250
```

***

Record 6
Entry from the Materials Project: a relaxed structure of PrGa2 (r2SCAN).

**Spin magnetization**: 0.0 μB/cell
**Electronic total energy**: -54.71 eV/cell

```
data_PrGa2
_chemical_formula_sum 'Pr1 Ga2'
_space_group_name_H-M_alt 'P 6/m m m'
_space_group_IT_number 191
_space_group_name_Hall '-P 6 2'
_cell_length_a 4.2574
_cell_length_b 4.2574
_cell_length_c 4.3807
_cell_angle_alpha 90.00
_cell_angle_beta 90.00
_cell_angle_gamma 120.00
loop_
_atom_site_label
_atom_site_type_symbol
_atom_site_fract_x
_atom_site_fract_y
_atom_site_fract_z
Pr1 Pr 0.0000 0.0000 0.0000
Ga1 Ga 0.3333 0.6667 0.5000
```

***

Record 7
Entry from the Materials Project: a relaxed structure of Pr9Ga4 (r2SCAN).

**Spin magnetization**: 0.0 μB/cell
**Electronic total energy**: -631.78 eV/cell

```
data_Pr9Ga4
_chemical_formula_sum 'Pr18 Ga8'
_space_group_name_H-M_alt 'I 4/m'
_space_group_IT_number 87
_space_group_name_Hall '-I 4'
_cell_length_a 12.205
_cell_length_b 12.205
_cell_length_c 5.206
_cell_angle_alpha 90.00
_cell_angle_beta 90.00
_cell_angle_gamma 90.00
loop_
_atom_site_label
_atom_site_type_symbol
_atom_site_fract_x
_atom_site_fract_y
_atom_site_fract_z
Pr1 Pr 0.000 0.000 0.000
Pr2 Pr 0.094 0.370 0.000
Pr3 Pr 0.114 0.186 0.500
Ga1 Ga 0.113 0.770 0.000
```

***

Record 8
Entry from the Materials Project: a relaxed structure of PrGa3 (r2SCAN).

**Spin magnetization**: 0.0 μB/cell
**Electronic total energy**: -132.55 eV/cell

```
data_PrGa3
_chemical_formula_sum 'Pr2 Ga6'
_space_group_name_H-M_alt 'P 63/m m c'
_space_group_IT_number 194
_space_group_name_Hall '-P 6c 2c'
_cell_length_a 6.5151
_cell_length_b 6.5151
_cell_length_c 4.5346
_cell_angle_alpha 90.00
_cell_angle_beta 90.00
_cell_angle_gamma 120.00
loop_
_atom_site_label
_atom_site_type_symbol
_atom_site_fract_x
_atom_site_fract_y
_atom_site_fract_z
Pr1 Pr 0.3333 0.6667 0.2500
Ga1 Ga 0.1391 0.2782 0.7500
```